{"formula": "Eu4C2N4F5", "functional": "GGA-PBE", "state": "relaxed", "lattice_angstrom": [[16.164, 0.000, 0.000], [0.000, 16.164, 0.000], [0.000, 0.000, 6.538]], "species": ["Eu", "Eu", "Eu", "Eu", "Eu", "Eu", "Eu", "Eu", "Eu", "Eu", "Eu", "Eu", "Eu", "Eu", "Eu", "Eu", "Eu", "Eu", "Eu", "Eu", "Eu", "Eu", "Eu", "Eu", "Eu", "Eu", "Eu", "Eu", "Eu", "Eu", "Eu", "Eu", "C", "C", "C", "C", "C", "C", "C", "C", "C", "C", "C", "C", "C", "C", "C", "C", "N", "N", "N", "N", "N", "N", "N", "N", "N", "N", "N", "N", "N", "N", "N", "N", "N", "N", "N", "N", "N", "N", "N", "N", "N", "N", "N", "N", "N", "N", "N", "N", "F", "F", "F", "F", "F", "F", "F", "F", "F", "F", "F", "F", "F", "F", "F", "F", "F", "F", "F", "F", "F", "F", "F", "F", "F", "F", "F", "F", "F", "F", "F", "F", "F", "F", "F", "F", "F", "F", "F", "F"], "frac_coords": [[0.077, 0.176, 0.013], [0.080, 0.832, 0.508], [0.081, 0.331, 0.511], [0.088, 0.663, 0.008], [0.163, 0.588, 0.508], [0.168, 0.080, 0.492], [0.169, 0.419, 0.011], [0.176, 0.923, 0.987], [0.324, 0.423, 0.513], [0.331, 0.919, 0.489], [0.332, 0.580, 0.008], [0.337, 0.088, 0.992], [0.412, 0.163, 0.492], [0.419, 0.831, 0.989], [0.420, 0.332, 0.992], [0.423, 0.676, 0.487], [0.577, 0.324, 0.487], [0.580, 0.668, 0.992], [0.581, 0.169, 0.989], [0.588, 0.837, 0.492], [0.663, 0.912, 0.992], [0.668, 0.420, 0.008], [0.669, 0.081, 0.489], [0.676, 0.577, 0.513], [0.824, 0.077, 0.987], [0.831, 0.581, 0.011], [0.832, 0.920, 0.492], [0.837, 0.412, 0.508], [0.912, 0.337, 0.008], [0.919, 0.669, 0.511], [0.920, 0.168, 0.508], [0.923, 0.824, 0.013], [0.000, 0.000, 0.263], [0.000, 0.000, 0.737], [0.000, 0.500, 0.292], [0.000, 0.500, 0.792], [0.247, 0.750, 0.777], [0.250, 0.247, 0.223], [0.250, 0.747, 0.277], [0.253, 0.250, 0.723], [0.500, 0.000, 0.208], [0.500, 0.000, 0.708], [0.500, 0.500, 0.237], [0.500, 0.500, 0.763], [0.747, 0.750, 0.723], [0.750, 0.253, 0.277], [0.750, 0.753, 0.223], [0.753, 0.250, 0.777], [0.012, 0.076, 0.266], [0.017, 0.575, 0.294], [0.075, 0.517, 0.794], [0.076, 0.988, 0.734], [0.175, 0.262, 0.240], [0.176, 0.733, 0.297], [0.233, 0.676, 0.797], [0.238, 0.325, 0.740], [0.262, 0.825, 0.760], [0.267, 0.176, 0.703], [0.324, 0.233, 0.203], [0.325, 0.762, 0.260], [0.424, 0.488, 0.766], [0.425, 0.017, 0.706], [0.483, 0.075, 0.206], [0.488, 0.576, 0.234], [0.512, 0.424, 0.234], [0.517, 0.925, 0.206], [0.575, 0.983, 0.706], [0.576, 0.512, 0.766], [0.675, 0.238, 0.260], [0.676, 0.767, 0.203], [0.733, 0.824, 0.703], [0.738, 0.175, 0.760], [0.762, 0.675, 0.740], [0.767, 0.324, 0.797], [0.824, 0.267, 0.297], [0.825, 0.738, 0.240], [0.924, 0.012, 0.734], [0.925, 0.483, 0.794], [0.983, 0.425, 0.294], [0.988, 0.924, 0.266], [0.001, 0.749, 0.261], [0.061, 0.327, 0.897], [0.062, 0.689, 0.631], [0.071, 0.183, 0.635], [0.075, 0.816, 0.902], [0.173, 0.439, 0.397], [0.183, 0.929, 0.365], [0.184, 0.075, 0.098], [0.189, 0.562, 0.131], [0.249, 0.501, 0.761], [0.251, 0.001, 0.739], [0.311, 0.062, 0.369], [0.316, 0.575, 0.402], [0.317, 0.429, 0.135], [0.327, 0.939, 0.103], [0.425, 0.316, 0.598], [0.429, 0.683, 0.865], [0.438, 0.189, 0.869], [0.439, 0.827, 0.603], [0.499, 0.249, 0.239], [0.501, 0.751, 0.239], [0.561, 0.173, 0.603], [0.562, 0.811, 0.869], [0.571, 0.317, 0.865], [0.575, 0.684, 0.598], [0.673, 0.061, 0.103], [0.683, 0.571, 0.135], [0.684, 0.425, 0.402], [0.689, 0.938, 0.369], [0.749, 0.999, 0.739], [0.751, 0.499, 0.761], [0.811, 0.438, 0.131], [0.816, 0.925, 0.098], [0.817, 0.071, 0.365], [0.827, 0.561, 0.397], [0.925, 0.184, 0.902], [0.929, 0.817, 0.635], [0.938, 0.311, 0.631], [0.939, 0.673, 0.897], [0.999, 0.251, 0.261]], "spacegroup": "P-42_1c", "m_tot_mub_per_cell": 216.00, "e_tot_ev_per_atom": -9.08}